(1)
Density functional theory data (PBE+U) for a relaxed structure of Li4MnCo2O7.

a = 2.985 Å, b = 6.434 Å, c = 13.615 Å
α = 83.25°, β = 86.39°, γ = 76.70°
Fractional coordinates of all 28 atoms:
Li: 0.000 0.000 0.000
Li: 0.018 0.494 0.495
Li: 0.126 0.427 0.294
Li: 0.274 0.856 0.574
Li: 0.431 0.289 0.857
Li: 0.577 0.719 0.140
Li: 0.705 0.162 0.431
Li: 0.863 0.565 0.715
Mn: 0.289 0.358 0.073
Mn: 0.419 0.781 0.362
Co: 0.139 0.934 0.784
Co: 0.568 0.226 0.637
Co: 0.718 0.648 0.928
Co: 0.834 0.076 0.218
O: 0.166 0.669 0.033
O: 0.168 0.179 0.546
O: 0.247 0.095 0.317
O: 0.268 0.628 0.823
O: 0.437 0.505 0.615
O: 0.447 0.047 0.114
O: 0.562 0.488 0.390
O: 0.582 0.953 0.891
O: 0.683 0.381 0.178
O: 0.691 0.918 0.680
O: 0.870 0.821 0.451
O: 0.895 0.339 0.965
O: 0.960 0.771 0.263
O: 0.967 0.235 0.747

Output
Crystal system = triclinic

(2)
Density functional theory data (PBE+U) for a relaxed structure of Li6Mn3CoO10.

a = 2.993 Å, b = 5.086 Å, c = 12.545 Å
α = 79.12°, β = 88.10°, γ = 76.49°
Fractional coordinates of all 20 atoms:
Li: 0.000 0.000 0.000
Li: 0.089 0.816 0.705
Li: 0.191 0.614 0.402
Li: 0.407 0.192 0.802
Li: 0.606 0.802 0.203
Li: 0.833 0.386 0.613
Mn: 0.300 0.405 0.100
Mn: 0.511 0.997 0.512
Mn: 0.915 0.195 0.304
Co: 0.693 0.608 0.894
O: 0.039 0.873 0.858
O: 0.109 0.744 0.549
O: 0.233 0.488 0.250
O: 0.369 0.321 0.956
O: 0.447 0.107 0.643
O: 0.585 0.911 0.360
O: 0.633 0.687 0.043
O: 0.758 0.503 0.770
O: 0.901 0.262 0.455
O: 0.983 0.110 0.157

Output
Crystal system = triclinic

(3)
Density functional theory data (PBE+U) for a relaxed structure of Li3Mn3CoO8.

a = 5.831 Å, b = 5.831 Å, c = 9.545 Å
α = 90.34°, β = 90.34°, γ = 119.15°
Fractional coordinates of all 30 atoms:
Li: 0.083 0.429 0.500
Li: 0.088 0.912 0.500
Li: 0.429 0.083 0.000
Li: 0.434 0.614 0.000
Li: 0.614 0.434 0.500
Li: 0.912 0.088 0.000
Mn: 0.097 0.929 0.228
Mn: 0.098 0.432 0.229
Mn: 0.432 0.098 0.729
Mn: 0.432 0.600 0.729
Mn: 0.600 0.432 0.229
Mn: 0.929 0.097 0.728
Co: 0.599 0.937 0.446
Co: 0.937 0.599 0.946
O: 0.115 0.425 0.840
O: 0.116 0.956 0.844
O: 0.231 0.743 0.111
O: 0.282 0.296 0.115
O: 0.294 0.782 0.608
O: 0.296 0.282 0.615
O: 0.423 0.584 0.342
O: 0.425 0.115 0.340
O: 0.566 0.916 0.848
O: 0.584 0.423 0.842
O: 0.743 0.231 0.611
O: 0.744 0.778 0.608
O: 0.778 0.744 0.108
O: 0.782 0.294 0.108
O: 0.916 0.566 0.348
O: 0.956 0.116 0.344

Output
Crystal system = monoclinic

| no. | DFT formation energy (eV per atom) |
| --- | --- |
| 1 | -1.822 |
| 2 | -1.995 |
| 3 | -1.919 |